Computed, not measured: crystalline Nb2Pd3Se8 at its relaxed geometry at the PBE level of DFT.

Computed properties:
The formation energy comes out at -1142 kJ/mol of formula units. Its symmetry is Pbam (55). The MP2020-corrected energy is -151.08 eV for the cell shown.

a b c (Å): 10.8388 15.4392 3.6301
angles (deg): 90.00 90.00 90.00
Element x y z (fractional)
Nb: 0.2135 0.1166 0.0000
Nb: 0.2865 0.6166 0.0000
Nb: 0.7135 0.3834 0.0000
Nb: 0.7865 0.8834 0.0000
Pd: 0.0000 0.0000 0.5000
Pd: 0.1199 0.7162 0.5000
Pd: 0.3801 0.2162 0.5000
Pd: 0.5000 0.5000 0.5000
Pd: 0.6199 0.7838 0.5000
Pd: 0.8801 0.2838 0.5000
Se: 0.0445 0.1568 0.5000
Se: 0.0471 0.6175 0.0000
Se: 0.2294 0.9925 0.5000
Se: 0.2489 0.7811 0.0000
Se: 0.2511 0.2811 0.0000
Se: 0.2706 0.4925 0.5000
Se: 0.4529 0.1175 0.0000
Se: 0.4555 0.6568 0.5000
Se: 0.5445 0.3432 0.5000
Se: 0.5471 0.8825 0.0000
Se: 0.7294 0.5075 0.5000
Se: 0.7489 0.7189 0.0000
Se: 0.7511 0.2189 0.0000
Se: 0.7706 0.0075 0.5000
Se: 0.9529 0.3825 0.0000
Se: 0.9555 0.8432 0.5000

=====

Computed, not measured: crystalline U at its relaxed geometry at the PBE level of DFT.

Computed properties:
The formation energy comes out at 34 kJ/mol of formula units. Its symmetry is Pmmm (47). The calculation puts the magnetization at 0.067 μB per atom. The energy relative to the lowest polymorph listed for this composition is 355 meV/atom.

a b c (Å): 5.0612 5.8690 11.3810
angles (deg): 90.00 90.00 90.00
Element x y z (fractional)
U: 0.0000 0.2157 0.0000
U: 0.0000 0.2228 0.2486
U: 0.0000 0.2228 0.7514
U: 0.0000 0.2819 0.5000
U: 0.0000 0.7181 0.5000
U: 0.0000 0.7772 0.2486
U: 0.0000 0.7772 0.7514
U: 0.0000 0.7843 0.0000
U: 0.5000 0.2231 0.3761
U: 0.5000 0.2231 0.6239
U: 0.5000 0.2831 0.1226
U: 0.5000 0.2831 0.8774
U: 0.5000 0.7169 0.1226
U: 0.5000 0.7169 0.8774
U: 0.5000 0.7769 0.3761
U: 0.5000 0.7769 0.6239

=====

Computed, not measured: crystalline Cu2Ag2O3 at its relaxed geometry at the PBE level of DFT.

Computed properties:
The formation energy comes out at -447 kJ/mol of formula units. Its symmetry is I4_1/amd (141). The calculation puts the magnetization at 0.012 μB per atom. The MP2020-corrected energy is -66.68 eV for the cell shown.

a b c (Å): 6.8425 6.8425 6.8425
angles (deg): 128.04 128.04 76.55
Element x y z (fractional)
Cu: 0.0000 0.0000 0.0000
Cu: 0.0000 0.0000 0.5000
Cu: 0.0000 0.5000 0.0000
Cu: 0.5000 0.0000 0.5000
Ag: 0.0000 0.5000 0.5000
Ag: 0.5000 0.0000 0.0000
Ag: 0.5000 0.5000 0.0000
Ag: 0.5000 0.5000 0.5000
O: 0.1116 0.3616 0.7500
O: 0.1250 0.8750 0.2500
O: 0.3616 0.1116 0.2500
O: 0.6384 0.8884 0.7500
O: 0.8750 0.1250 0.7500
O: 0.8884 0.6384 0.2500

=====

Computed, not measured: crystalline Sr3Er at its relaxed geometry at the PBE level of DFT.

Computed properties:
The formation energy comes out at 87 kJ/mol of formula units. Its symmetry is P6_3/mmc (194). The calculation puts the magnetization at 0.042 μB per atom.

a b c (Å): 8.1008 8.1008 6.5712
angles (deg): 90.00 90.00 120.00
Element x y z (fractional)
Sr: 0.1717 0.3435 0.2500
Sr: 0.1717 0.8283 0.2500
Sr: 0.3435 0.1717 0.7500
Sr: 0.6565 0.8283 0.2500
Sr: 0.8283 0.1717 0.7500
Sr: 0.8283 0.6565 0.7500
Er: 0.3333 0.6667 0.7500
Er: 0.6667 0.3333 0.2500

=====

Computed, not measured: crystalline LaMg14Co at its relaxed geometry at the PBE level of DFT.

Computed properties:
The formation energy comes out at 94 kJ/mol of formula units. Its symmetry is Amm2 (38). The calculation puts the magnetization at 0.028 μB per atom. The energy relative to the lowest polymorph listed for this composition is 0 meV/atom.

a b c (Å): 10.3473 6.5799 6.5799
angles (deg): 54.78 90.00 90.00
Element x y z (fractional)
La: 0.0000 0.0000 0.0000
Mg: 0.0000 0.0156 0.4934
Mg: 0.0000 0.4934 0.0156
Mg: 0.2131 0.6245 0.6245
Mg: 0.2522 0.1447 0.6351
Mg: 0.2522 0.6351 0.1447
Mg: 0.2671 0.1462 0.1462
Mg: 0.5000 0.4853 0.4853
Mg: 0.5000 0.4854 0.9803
Mg: 0.5000 0.9803 0.4854
Mg: 0.5000 0.9797 0.9797
Mg: 0.7329 0.1462 0.1462
Mg: 0.7478 0.1447 0.6351
Mg: 0.7478 0.6351 0.1447
Mg: 0.7869 0.6245 0.6245
Co: 0.0000 0.4644 0.4644

=====

Computed, not measured: crystalline CaPmAu2 at its relaxed geometry at the PBE level of DFT.

Computed properties:
The formation energy comes out at -314 kJ/mol of formula units. Its symmetry is Fm-3m (225).

a b c (Å): 5.1820 5.1820 5.1820
angles (deg): 60.00 60.00 60.00
Element x y z (fractional)
Ca: 0.0000 0.0000 0.0000
Pm: 0.5000 0.5000 0.5000
Au: 0.2500 0.2500 0.2500
Au: 0.7500 0.7500 0.7500